## Pr2FeSn4 (PBE)

Data for a relaxed Pr2FeSn4 crystal.

abc: 4.6211 8.7014 8.7014
angles: 31.02 90.00 90.00
Fractional positions:
Pr  0.0000  0.0000  0.0000
Pr  0.5000  0.2024  0.2024
Fe  0.0000  0.8008  0.8008
Sn  0.0000  0.3590  0.3590
Sn  0.0000  0.6517  0.6517
Sn  0.5000  0.5319  0.5319
Sn  0.5000  0.8564  0.8564

* energy of formation: -3.48 eV per formula unit
* space group: Amm2